Entry from Materials Project: a relaxed Ba2LiMn2P4O14 crystal (PBE+U).

The space group is P-1 (No. 2) and the conventional cell measures 5.6625, 7.8601 and 8.6356 Å, with angles of 66.32, 80.21 and 84.32 degrees. The inequivalent atoms are Ba at (0.1718, 0.0238, 0.2173), Li at (0.5000, 0.0000, 0.5000), Mn at (0.2865, 0.5931, 0.1006), P at (0.2201, 0.6418, 0.7083), P at (0.2680, 0.2503, 0.7652), O at (0.0218, 0.2168, 0.8848), O at (0.0382, 0.3747, 0.1962), O at (0.2446, 0.8235, 0.5506), O at (0.2688, 0.4717, 0.6410), O at (0.2917, 0.1357, 0.6570), O at (0.4070, 0.6160, 0.8307) and O at (0.4759, 0.2128, 0.8725).

The formation energy is -262.51 kJ per mole of atoms. The distance to the lowest polymorph of the same formula is 0.029 eV per atom.